(1)
! ZrZn16 (meta-GGA r2SCAN, optimized geometry); values from VASP
! M_tot   0.00 μB per atom
! Space-group type   Cmcm, No. 63
&SYSTEM
  ibrav = 0, nat = 34, ntyp = 2
/
ATOMIC_SPECIES
Zr 91.22 Zr.upf
Zn 65.41 Zn.upf
ATOMIC_POSITIONS crystal
Zr 0.047 0.953 0.750
Zr 0.953 0.047 0.250
Zn 0.000 0.000 0.000
Zn 0.000 0.000 0.500
Zn 0.016 0.645 0.568
Zn 0.016 0.645 0.932
Zn 0.177 0.823 0.139
Zn 0.177 0.823 0.361
Zn 0.191 0.484 0.250
Zn 0.249 0.353 0.634
Zn 0.249 0.353 0.866
Zn 0.294 0.706 0.750
Zn 0.353 0.249 0.134
Zn 0.353 0.249 0.366
Zn 0.355 0.984 0.568
Zn 0.355 0.984 0.932
Zn 0.377 0.623 0.030
Zn 0.377 0.623 0.470
Zn 0.484 0.191 0.750
Zn 0.516 0.809 0.250
Zn 0.623 0.377 0.530
Zn 0.623 0.377 0.970
Zn 0.645 0.016 0.068
Zn 0.645 0.016 0.432
Zn 0.647 0.751 0.634
Zn 0.647 0.751 0.866
Zn 0.706 0.294 0.250
Zn 0.751 0.647 0.134
Zn 0.751 0.647 0.366
Zn 0.809 0.516 0.750
Zn 0.823 0.177 0.639
Zn 0.823 0.177 0.861
Zn 0.984 0.355 0.068
Zn 0.984 0.355 0.432
CELL_PARAMETERS angstrom
3.831 -5.716 0.000
3.831 5.716 0.000
0.000 0.000 11.622

=====

(2)
! SmRh2 (meta-GGA r2SCAN, optimized geometry); values from VASP
! M_tot   0.00 μB per atom
! Space-group type   Fd-3m, No. 227
&SYSTEM
  ibrav = 0, nat = 6, ntyp = 2
/
ATOMIC_SPECIES
Sm 150.36 Sm.upf
Rh 102.91 Rh.upf
ATOMIC_POSITIONS crystal
Sm 0.125 0.125 0.125
Sm 0.875 0.875 0.875
Rh 0.000 0.500 0.500
Rh 0.500 0.000 0.500
Rh 0.500 0.500 0.000
Rh 0.500 0.500 0.500
CELL_PARAMETERS angstrom
0.000 3.782 3.782
3.782 0.000 3.782
3.782 3.782 0.000

=====

(3)
! Hf8FeTe6 (meta-GGA r2SCAN, optimized geometry); values from VASP
! M_tot   0.04 μB per atom
! Space-group type   Pmmn, No. 59
&SYSTEM
  ibrav = 0, nat = 30, ntyp = 3
/
ATOMIC_SPECIES
Hf 178.49 Hf.upf
Fe 55.84 Fe.upf
Te 127.60 Te.upf
ATOMIC_POSITIONS crystal
Hf 0.250 0.052 0.058
Hf 0.250 0.184 0.259
Hf 0.250 0.250 0.926
Hf 0.250 0.316 0.259
Hf 0.250 0.448 0.058
Hf 0.250 0.651 0.059
Hf 0.250 0.750 0.455
Hf 0.250 0.849 0.059
Hf 0.750 0.151 0.941
Hf 0.750 0.250 0.545
Hf 0.750 0.349 0.941
Hf 0.750 0.552 0.942
Hf 0.750 0.684 0.741
Hf 0.750 0.750 0.074
Hf 0.750 0.816 0.741
Hf 0.750 0.948 0.942
Fe 0.250 0.750 0.797
Fe 0.750 0.250 0.203
Te 0.250 0.169 0.647
Te 0.250 0.331 0.647
Te 0.250 0.548 0.221
Te 0.250 0.595 0.705
Te 0.250 0.905 0.705
Te 0.250 0.952 0.221
Te 0.750 0.048 0.779
Te 0.750 0.095 0.295
Te 0.750 0.405 0.295
Te 0.750 0.452 0.779
Te 0.750 0.669 0.353
Te 0.750 0.831 0.353
CELL_PARAMETERS angstrom
3.750 0.000 0.000
0.000 25.926 0.000
0.000 0.000 7.663

=====

(4)
! Yb2CdSb2 (meta-GGA r2SCAN, optimized geometry); values from VASP
! M_tot   0.02 μB per atom
! Space-group type   Cmc2_1, No. 36
&SYSTEM
  ibrav = 0, nat = 10, ntyp = 3
/
ATOMIC_SPECIES
Yb 173.04 Yb.upf
Cd 112.41 Cd.upf
Sb 121.76 Sb.upf
ATOMIC_POSITIONS crystal
Yb 0.015 0.985 0.500
Yb 0.200 0.800 0.816
Yb 0.800 0.200 0.316
Yb 0.985 0.015 0.000
Cd 0.406 0.594 0.715
Cd 0.594 0.406 0.215
Sb 0.188 0.812 0.326
Sb 0.413 0.587 0.267
Sb 0.587 0.413 0.767
Sb 0.812 0.188 0.826
CELL_PARAMETERS angstrom
2.144 -9.544 0.000
2.144 9.544 0.000
0.000 0.000 6.465

=====

(5)
! GeO2 (meta-GGA r2SCAN, optimized geometry); values from VASP
! M_tot   0.00 μB per atom
! Space-group type   P4_2/mnm, No. 136
&SYSTEM
  ibrav = 0, nat = 6, ntyp = 2
/
ATOMIC_SPECIES
Ge 72.64 Ge.upf
O 16.00 O.upf
ATOMIC_POSITIONS crystal
Ge 0.000 0.000 0.000
Ge 0.500 0.500 0.500
O 0.194 0.194 0.500
O 0.306 0.694 0.000
O 0.694 0.306 0.000
O 0.806 0.806 0.500
CELL_PARAMETERS angstrom
4.412 0.000 0.000
0.000 4.412 0.000
0.000 0.000 2.877

=====

(6)
! Ho2Au (meta-GGA r2SCAN, optimized geometry); values from VASP
! M_tot   0.00 μB per atom
! Space-group type   Pnma, No. 62
&SYSTEM
  ibrav = 0, nat = 12, ntyp = 2
/
ATOMIC_SPECIES
Ho 164.93 Ho.upf
Au 196.97 Au.upf
ATOMIC_POSITIONS crystal
Ho 0.012 0.250 0.175
Ho 0.148 0.250 0.583
Ho 0.352 0.750 0.083
Ho 0.488 0.750 0.675
Ho 0.512 0.250 0.325
Ho 0.648 0.250 0.917
Ho 0.852 0.750 0.417
Ho 0.988 0.750 0.825
Au 0.242 0.250 0.904
Au 0.258 0.750 0.404
Au 0.742 0.250 0.596
Au 0.758 0.750 0.096
CELL_PARAMETERS angstrom
7.051 0.000 0.000
0.000 4.921 0.000
0.000 0.000 8.823

=====

(7)
! Pr3Si6N11 (meta-GGA r2SCAN, optimized geometry); values from VASP
! M_tot   0.00 μB per atom
! Space-group type   P4bm, No. 100
&SYSTEM
  ibrav = 0, nat = 40, ntyp = 3
/
ATOMIC_SPECIES
Pr 140.91 Pr.upf
Si 28.09 Si.upf
N 14.01 N.upf
ATOMIC_POSITIONS crystal
Pr 0.000 0.000 0.000
Pr 0.182 0.318 0.016
Pr 0.318 0.818 0.016
Pr 0.500 0.500 0.000
Pr 0.682 0.182 0.016
Pr 0.818 0.682 0.016
Si 0.079 0.791 0.540
Si 0.117 0.617 0.050
Si 0.209 0.079 0.540
Si 0.291 0.579 0.540
Si 0.383 0.117 0.050
Si 0.421 0.291 0.540
Si 0.579 0.709 0.540
Si 0.617 0.883 0.050
Si 0.709 0.421 0.540
Si 0.791 0.921 0.540
Si 0.883 0.383 0.050
Si 0.921 0.209 0.540
N 0.000 0.500 0.077
N 0.076 0.769 0.188
N 0.080 0.179 0.649
N 0.154 0.654 0.705
N 0.179 0.920 0.649
N 0.231 0.076 0.188
N 0.269 0.576 0.188
N 0.321 0.420 0.649
N 0.346 0.154 0.705
N 0.420 0.679 0.649
N 0.424 0.269 0.188
N 0.500 0.000 0.077
N 0.576 0.731 0.188
N 0.580 0.321 0.649
N 0.654 0.846 0.705
N 0.679 0.580 0.649
N 0.731 0.424 0.188
N 0.769 0.924 0.188
N 0.821 0.080 0.649
N 0.846 0.346 0.705
N 0.920 0.821 0.649
N 0.924 0.231 0.188
CELL_PARAMETERS angstrom
10.127 0.000 0.000
0.000 10.127 0.000
0.000 0.000 4.859

=====

(8)
! YbAgAu2 (meta-GGA r2SCAN, optimized geometry); values from VASP
! M_tot   0.00 μB per atom
! Space-group type   Fm-3m, No. 225
&SYSTEM
  ibrav = 0, nat = 4, ntyp = 3
/
ATOMIC_SPECIES
Yb 173.04 Yb.upf
Ag 107.87 Ag.upf
Au 196.97 Au.upf
ATOMIC_POSITIONS crystal
Yb 0.000 0.000 0.000
Ag 0.500 0.500 0.500
Au 0.250 0.250 0.250
Au 0.750 0.750 0.750
CELL_PARAMETERS angstrom
0.000 3.391 3.391
3.391 0.000 3.391
3.391 3.391 0.000

=====

(9)
! BiPO4 (meta-GGA r2SCAN, optimized geometry); values from VASP
! M_tot   0.00 μB per atom
! Space-group type   P2_1/c, No. 14
&SYSTEM
  ibrav = 0, nat = 24, ntyp = 3
/
ATOMIC_SPECIES
Bi 208.98 Bi.upf
P 30.97 P.upf
O 16.00 O.upf
ATOMIC_POSITIONS crystal
Bi 0.197 0.144 0.285
Bi 0.197 0.356 0.785
Bi 0.803 0.644 0.215
Bi 0.803 0.856 0.715
P 0.315 0.662 0.202
P 0.315 0.838 0.702
P 0.685 0.162 0.298
P 0.685 0.338 0.798
O 0.140 0.659 0.622
O 0.140 0.841 0.122
O 0.182 0.506 0.240
O 0.182 0.994 0.740
O 0.354 0.601 0.037
O 0.354 0.899 0.537
O 0.407 0.204 0.115
O 0.407 0.296 0.615
O 0.593 0.704 0.385
O 0.593 0.796 0.885
O 0.646 0.101 0.463
O 0.646 0.399 0.963
O 0.818 0.006 0.260
O 0.818 0.494 0.760
O 0.860 0.159 0.878
O 0.860 0.341 0.378
CELL_PARAMETERS angstrom
6.467 0.000 0.000
0.000 6.939 0.000
-4.846 0.000 6.551

=====

(10)
! NdBe13 (meta-GGA r2SCAN, optimized geometry); values from VASP
! M_tot   0.00 μB per atom
! Space-group type   Fm-3c, No. 226
&SYSTEM
  ibrav = 0, nat = 28, ntyp = 2
/
ATOMIC_SPECIES
Nd 144.24 Nd.upf
Be 9.01 Be.upf
ATOMIC_POSITIONS crystal
Nd 0.250 0.250 0.250
Nd 0.750 0.750 0.750
Be 0.000 0.000 0.000
Be 0.063 0.289 0.711
Be 0.063 0.711 0.937
Be 0.063 0.937 0.289
Be 0.211 0.437 0.789
Be 0.211 0.563 0.437
Be 0.211 0.789 0.563
Be 0.289 0.063 0.937
Be 0.289 0.711 0.063
Be 0.289 0.937 0.711
Be 0.437 0.211 0.563
Be 0.437 0.563 0.789
Be 0.437 0.789 0.211
Be 0.500 0.500 0.500
Be 0.563 0.211 0.789
Be 0.563 0.437 0.211
Be 0.563 0.789 0.437
Be 0.711 0.063 0.289
Be 0.711 0.289 0.937
Be 0.711 0.937 0.063
Be 0.789 0.211 0.437
Be 0.789 0.437 0.563
Be 0.789 0.563 0.211
Be 0.937 0.063 0.711
Be 0.937 0.289 0.063
Be 0.937 0.711 0.289
CELL_PARAMETERS angstrom
0.000 5.159 5.159
5.159 0.000 5.159
5.159 5.159 0.000

=====

(11)
! Nb2PdS6 (meta-GGA r2SCAN, optimized geometry); values from VASP
! M_tot   0.00 μB per atom
! Space-group type   C2/m, No. 12
&SYSTEM
  ibrav = 0, nat = 9, ntyp = 3
/
ATOMIC_SPECIES
Nb 92.91 Nb.upf
Pd 106.42 Pd.upf
S 32.06 S.upf
ATOMIC_POSITIONS crystal
Nb 0.183 0.183 0.293
Nb 0.817 0.817 0.707
Pd 0.500 0.500 0.000
S 0.164 0.164 0.539
S 0.288 0.288 0.873
S 0.485 0.485 0.762
S 0.515 0.515 0.238
S 0.712 0.712 0.127
S 0.836 0.836 0.461
CELL_PARAMETERS angstrom
6.187 -1.652 0.000
6.187 1.652 0.000
-4.656 0.000 9.037

=====

(12)
! TiFeSb (meta-GGA r2SCAN, optimized geometry); values from VASP
! M_tot   0.33 μB per atom
! Space-group type   F-43m, No. 216
&SYSTEM
  ibrav = 0, nat = 3, ntyp = 3
/
ATOMIC_SPECIES
Ti 47.87 Ti.upf
Fe 55.84 Fe.upf
Sb 121.76 Sb.upf
ATOMIC_POSITIONS crystal
Ti 0.000 0.000 0.000
Fe 0.750 0.750 0.750
Sb 0.500 0.500 0.500
CELL_PARAMETERS angstrom
0.000 2.999 2.999
2.999 0.000 2.999
2.999 2.999 0.000

=====

(13)
! Ba2SnS3F2 (meta-GGA r2SCAN, optimized geometry); values from VASP
! M_tot   0.00 μB per atom
! Space-group type   Pnma, No. 62
&SYSTEM
  ibrav = 0, nat = 32, ntyp = 4
/
ATOMIC_SPECIES
Ba 137.33 Ba.upf
Sn 118.71 Sn.upf
S 32.06 S.upf
F 19.00 F.upf
ATOMIC_POSITIONS crystal
Ba 0.247 0.077 0.003
Ba 0.247 0.423 0.003
Ba 0.253 0.577 0.503
Ba 0.253 0.923 0.503
Ba 0.747 0.077 0.497
Ba 0.747 0.423 0.497
Ba 0.753 0.577 0.997
Ba 0.753 0.923 0.997
Sn 0.156 0.750 0.916
Sn 0.344 0.250 0.416
Sn 0.656 0.750 0.584
Sn 0.844 0.250 0.084
S 0.237 0.250 0.042
S 0.244 0.138 0.515
S 0.244 0.362 0.515
S 0.256 0.638 0.015
S 0.256 0.862 0.015
S 0.263 0.750 0.542
S 0.737 0.250 0.458
S 0.744 0.138 0.985
S 0.744 0.362 0.985
S 0.756 0.638 0.485
S 0.756 0.862 0.485
S 0.763 0.750 0.958
F 0.001 0.001 0.747
F 0.001 0.499 0.747
F 0.499 0.501 0.247
F 0.499 0.999 0.247
F 0.501 0.001 0.753
F 0.501 0.499 0.753
F 0.999 0.501 0.253
F 0.999 0.999 0.253
CELL_PARAMETERS angstrom
6.267 0.000 0.000
0.000 19.421 0.000
0.000 0.000 6.372

=====

(14)
! AlPd5I2 (meta-GGA r2SCAN, optimized geometry); values from VASP
! M_tot   0.00 μB per atom
! Space-group type   I4/mmm, No. 139
&SYSTEM
  ibrav = 0, nat = 8, ntyp = 3
/
ATOMIC_SPECIES
Al 26.98 Al.upf
Pd 106.42 Pd.upf
I 126.90 I.upf
ATOMIC_POSITIONS crystal
Al 0.000 0.000 0.000
Pd 0.085 0.585 0.500
Pd 0.415 0.915 0.500
Pd 0.500 0.500 0.000
Pd 0.585 0.085 0.500
Pd 0.915 0.415 0.500
I 0.323 0.323 0.000
I 0.677 0.677 0.000
CELL_PARAMETERS angstrom
-2.039 2.039 10.133
2.039 -2.039 10.133
2.039 2.039 -10.133

=====

(15)
! Pr5C2Cl9 (meta-GGA r2SCAN, optimized geometry); values from VASP
! M_tot   0.00 μB per atom
! Space-group type   P-1, No. 2
&SYSTEM
  ibrav = 0, nat = 32, ntyp = 3
/
ATOMIC_SPECIES
Pr 140.91 Pr.upf
C 12.01 C.upf
Cl 35.45 Cl.upf
ATOMIC_POSITIONS crystal
Pr 0.102 0.203 0.003
Pr 0.132 0.770 0.270
Pr 0.204 0.185 0.496
Pr 0.227 0.428 0.743
Pr 0.394 0.902 0.781
Pr 0.606 0.098 0.219
Pr 0.773 0.572 0.257
Pr 0.796 0.815 0.504
Pr 0.868 0.230 0.730
Pr 0.898 0.797 0.997
C 0.142 0.199 0.810
C 0.171 0.189 0.690
C 0.829 0.811 0.310
C 0.858 0.801 0.190
Cl 0.000 0.000 0.500
Cl 0.081 0.840 0.771
Cl 0.163 0.368 0.259
Cl 0.177 0.552 0.506
Cl 0.217 0.830 0.032
Cl 0.219 0.460 0.978
Cl 0.399 0.908 0.277
Cl 0.457 0.826 0.552
Cl 0.489 0.484 0.231
Cl 0.500 0.000 0.000
Cl 0.511 0.516 0.769
Cl 0.543 0.174 0.448
Cl 0.601 0.092 0.723
Cl 0.781 0.540 0.022
Cl 0.783 0.170 0.968
Cl 0.823 0.448 0.494
Cl 0.837 0.632 0.741
Cl 0.919 0.160 0.229
CELL_PARAMETERS angstrom
8.571 0.000 0.000
4.164 7.581 0.000
1.022 0.764 11.966

=====

(16)
! PaInPd2 (meta-GGA r2SCAN, optimized geometry); values from VASP
! M_tot   0.20 μB per atom
! Space-group type   Fm-3m, No. 225
&SYSTEM
  ibrav = 0, nat = 4, ntyp = 3
/
ATOMIC_SPECIES
Pa 231.04 Pa.upf
In 114.82 In.upf
Pd 106.42 Pd.upf
ATOMIC_POSITIONS crystal
Pa 0.000 0.000 0.000
In 0.500 0.500 0.500
Pd 0.250 0.250 0.250
Pd 0.750 0.750 0.750
CELL_PARAMETERS angstrom
0.000 3.417 3.417
3.417 0.000 3.417
3.417 3.417 0.000

=====

| no. | uncorrected energy (eV per atom) |
| --- | --- |
| 1 | -9.811 |
| 2 | -26.754 |
| 3 | -35.882 |
| 4 | -29.638 |
| 5 | -10.448 |
| 6 | -39.528 |
| 7 | -13.595 |
| 8 | -40.431 |
| 9 | -17.361 |
| 10 | -6.305 |
| 11 | -14.316 |
| 12 | -18.035 |
| 13 | -15.914 |
| 14 | -21.771 |
| 15 | -15.996 |
| 16 | -36.914 |